No. 1
A geometry-optimized HgAsO4 structure. Source: Materials Project, functional PBE.

Properties
calculated total energy: -111.2 eV/cell
offset from the most stable computed form: 0 meV/atom

Geometry as CIF:
```
data_HgAsO4
_chemical_formula_sum 'Hg4 As4 O16'
_cell_length_a 5.629
_cell_length_b 12.058
_cell_length_c 7.022
_cell_angle_alpha 90.00
_cell_angle_beta 120.82
_cell_angle_gamma 90.00
_space_group_name_H-M_alt 'P 1 21/c 1'
_space_group_IT_number 14
loop_
_space_group_symop_operation_xyz
'x,y,z'
'-x,-y,-z'
'-x,y+1/2,-z+1/2'
'x,-y+1/2,z+1/2'
loop_
_atom_site_label
_atom_site_type_symbol
_atom_site_fract_x
_atom_site_fract_y
_atom_site_fract_z
Hg1 Hg 0.149 0.012 0.259
As1 As 0.406 0.153 0.983
O1 O 0.109 0.110 0.741
O2 O 0.304 0.609 0.511
O3 O 0.377 0.205 0.506
O4 O 0.446 0.110 0.243
```

=====

No. 2
A geometry-optimized Hg3AsO4 structure. Source: Materials Project, functional PBE.

Properties
calculated total energy: -248.7 eV/cell
offset from the most stable computed form: 0 meV/atom

Geometry as CIF:
```
data_Hg3AsO4
_chemical_formula_sum 'Hg24 As8 O32'
_cell_length_a 10.525
_cell_length_b 8.826
_cell_length_c 14.007
_cell_angle_alpha 90.00
_cell_angle_beta 101.61
_cell_angle_gamma 90.00
_space_group_name_H-M_alt 'P 1 21/c 1'
_space_group_IT_number 14
loop_
_space_group_symop_operation_xyz
'x,y,z'
'-x,-y,-z'
'-x,y+1/2,-z+1/2'
'x,-y+1/2,z+1/2'
loop_
_atom_site_label
_atom_site_type_symbol
_atom_site_fract_x
_atom_site_fract_y
_atom_site_fract_z
Hg1 Hg 0.010 0.230 0.403
Hg2 Hg 0.016 0.056 0.638
Hg3 Hg 0.228 0.087 0.165
Hg4 Hg 0.311 0.612 0.802
Hg5 Hg 0.410 0.069 0.835
Hg6 Hg 0.445 0.745 0.539
As1 As 0.133 0.598 0.405
As2 As 0.339 0.084 0.594
O1 O 0.007 0.701 0.335
O2 O 0.125 0.080 0.853
O3 O 0.128 0.600 0.527
O4 O 0.208 0.209 0.569
O5 O 0.283 0.670 0.390
O6 O 0.324 0.528 0.193
O7 O 0.333 0.536 0.996
O8 O 0.478 0.195 0.619
```

=====

No. 3
A geometry-optimized Hg9As4O16 structure. Source: Materials Project, functional PBE.

Properties
calculated total energy: -733.7 eV/cell

Geometry as CIF:
```
data_Hg9As4O16
_chemical_formula_sum 'Hg54 As24 O96'
_cell_length_a 17.1501
_cell_length_b 17.1501
_cell_length_c 11.1337
_cell_angle_alpha 90.00
_cell_angle_beta 90.00
_cell_angle_gamma 120.00
_space_group_name_H-M_alt 'R 3 c'
_space_group_IT_number 161
_space_group_name_Hall 'R 3 -2"c'
loop_
_atom_site_label
_atom_site_type_symbol
_atom_site_fract_x
_atom_site_fract_y
_atom_site_fract_z
Hg1 Hg 0.0573 0.1639 0.0000
Hg2 Hg 0.1575 0.4573 0.4634
Hg3 Hg 0.1596 0.3962 0.6919
As1 As 0.0000 0.0000 0.2173
As2 As 0.0207 0.2593 0.2989
O1 O 0.0000 0.0000 0.3695
O2 O 0.0080 0.1984 0.4277
O3 O 0.0461 0.3678 0.3334
O4 O 0.0683 0.5051 0.8689
O5 O 0.0964 0.0058 0.6545
O6 O 0.1323 0.3809 0.8975
```

=====

No. 4
A geometry-optimized Hg3AsO4 structure. Source: Materials Project, functional PBE.

Properties
calculated total energy: -124.2 eV/cell
offset from the most stable computed form: 6 meV/atom

Geometry as CIF:
```
data_Hg3AsO4
_chemical_formula_sum 'Hg12 As4 O16'
_cell_length_a 9.331
_cell_length_b 5.295
_cell_length_c 14.702
_cell_angle_alpha 90.00
_cell_angle_beta 123.10
_cell_angle_gamma 90.00
_space_group_name_H-M_alt 'P 1 21/c 1'
_space_group_IT_number 14
loop_
_space_group_symop_operation_xyz
'x,y,z'
'-x,-y,-z'
'-x,y+1/2,-z+1/2'
'x,-y+1/2,z+1/2'
loop_
_atom_site_label
_atom_site_type_symbol
_atom_site_fract_x
_atom_site_fract_y
_atom_site_fract_z
Hg1 Hg 0.037 0.133 0.085
Hg2 Hg 0.271 0.136 0.456
Hg3 Hg 0.454 0.654 0.126
As1 As 0.229 0.615 0.273
O1 O 0.047 0.513 0.153
O2 O 0.223 0.522 0.384
O3 O 0.237 0.560 0.771
O4 O 0.407 0.005 0.777
```

=====

No. 5
A geometry-optimized SrHgAs2O7 structure. Source: Materials Project, functional PBE.

Properties
calculated total energy: -124.7 eV/cell

Geometry as CIF:
```
data_SrHgAs2O7
_chemical_formula_sum 'Sr2 Hg2 As4 O14'
_cell_length_a 5.928
_cell_length_b 7.422
_cell_length_c 7.681
_cell_angle_alpha 101.71
_cell_angle_beta 90.07
_cell_angle_gamma 98.74
_space_group_name_H-M_alt 'P -1'
_space_group_IT_number 2
loop_
_space_group_symop_operation_xyz
'x,y,z'
'-x,-y,-z'
loop_
_atom_site_label
_atom_site_type_symbol
_atom_site_fract_x
_atom_site_fract_y
_atom_site_fract_z
Sr1 Sr 0.189 0.273 0.437
Hg1 Hg 0.189 0.173 0.905
As1 As 0.290 0.668 0.881
As2 As 0.315 0.775 0.317
O1 O 0.083 0.807 0.866
O2 O 0.108 0.916 0.325
O3 O 0.218 0.449 0.760
O4 O 0.264 0.631 0.462
O5 O 0.286 0.621 0.101
O6 O 0.411 0.107 0.659
O7 O 0.440 0.225 0.150
```

=====

No. 6
A geometry-optimized HgAsPd5 structure. Source: Materials Project, functional PBE.

Properties
calculated total energy: -33.0 eV/cell

Geometry as CIF:
```
data_HgAsPd5
_chemical_formula_sum 'Hg1 As1 Pd5'
_cell_length_a 4.060
_cell_length_b 4.060
_cell_length_c 7.167
_cell_angle_alpha 90.00
_cell_angle_beta 90.00
_cell_angle_gamma 90.00
_space_group_name_H-M_alt 'P 4/m m m'
_space_group_IT_number 123
_space_group_name_Hall '-P 4 2'
loop_
_atom_site_label
_atom_site_type_symbol
_atom_site_fract_x
_atom_site_fract_y
_atom_site_fract_z
Hg1 Hg 0.000 0.000 0.000
As1 As 0.500 0.500 0.500
Pd1 Pd 0.000 0.500 0.293
Pd2 Pd 0.500 0.500 0.000
```